# 1
# SrSnAu, relaxed, DFT PBE-GGA
data_SrSnAu
_space_group_name_H-M_alt 'P n m a'
_space_group_IT_number 62
_cell_length_a 23.749
_cell_length_b 4.897
_cell_length_c 8.400
_cell_angle_alpha 90.00
_cell_angle_beta 90.00
_cell_angle_gamma 90.00
loop_
_space_group_symop_operation_xyz
'x,y,z'
'-x,-y,-z'
'-x+1/2,-y,z+1/2'
'x+1/2,y,-z+1/2'
'x+1/2,-y+1/2,-z+1/2'
'-x+1/2,y+1/2,z+1/2'
'-x,y+1/2,-z'
'x,-y+1/2,z'
loop_
_atom_site_label
_atom_site_type_symbol
_atom_site_fract_x
_atom_site_fract_y
_atom_site_fract_z
Sr1 Sr 0.002 0.250 0.212
Sr2 Sr 0.166 0.250 0.291
Sr3 Sr 0.167 0.750 0.707
Sn1 Sn 0.066 0.250 0.586
Sn2 Sn 0.102 0.750 0.084
Sn3 Sn 0.231 0.750 0.082
Au1 Au 0.067 0.750 0.416
Au2 Au 0.094 0.250 0.913
Au3 Au 0.239 0.250 0.913
# - Calculated density: 8.23 Mg/m³
# - Final energy: -3.732 eV per atom
# - Energy of formation from the pure elements: -0.7411 eV per atom

# 2
# Cs2Se, relaxed, DFT PBE-GGA
data_Cs2Se
_space_group_name_H-M_alt 'P 63/m m c'
_space_group_IT_number 194
_space_group_name_Hall '-P 6c 2c'
_cell_length_a 6.0707
_cell_length_b 6.0707
_cell_length_c 8.2144
_cell_angle_alpha 90.00
_cell_angle_beta 90.00
_cell_angle_gamma 120.00
loop_
_atom_site_label
_atom_site_type_symbol
_atom_site_fract_x
_atom_site_fract_y
_atom_site_fract_z
Cs1 Cs 0.0000 0.0000 0.0000
Cs2 Cs 0.3333 0.6667 0.2500
Se1 Se 0.3333 0.6667 0.7500
# - Calculated density: 4.37 Mg/m³
# - Final energy: -2.737 eV per atom
# - Energy of formation from the pure elements: -1.1321 eV per atom
# - Offset from the most stable computed form: 73 meV/atom

# 3
# Eu2Ti2O5, relaxed, DFT PBE-GGA
data_Eu2Ti2O5
_space_group_name_H-M_alt 'I m a 2'
_space_group_IT_number 46
_cell_length_a 15.614
_cell_length_b 5.570
_cell_length_c 5.548
_cell_angle_alpha 90.00
_cell_angle_beta 90.00
_cell_angle_gamma 90.00
loop_
_space_group_symop_operation_xyz
'x,y,z'
'-x,-y,z'
'-x+1/2,y,z'
'x+1/2,-y,z'
'x+1/2,y+1/2,z+1/2'
'-x+1/2,-y+1/2,z+1/2'
'-x,y+1/2,z+1/2'
'x,-y+1/2,z+1/2'
loop_
_atom_site_label
_atom_site_type_symbol
_atom_site_fract_x
_atom_site_fract_y
_atom_site_fract_z
Eu1 Eu 0.119 0.006 0.000
Ti1 Ti 0.000 0.000 0.498
Ti2 Ti 0.250 0.509 0.985
O1 O 0.010 0.750 0.247
O2 O 0.128 0.045 0.493
O3 O 0.250 0.723 0.707
# - Calculated density: 6.60 Mg/m³
# - Final energy: -9.676 eV per atom
# - Energy of formation from the pure elements: -3.2751 eV per atom
# - Offset from the most stable computed form: 25 meV/atom

# 4
# Al2O3, relaxed, DFT PBE-GGA
data_Al2O3
_space_group_name_H-M_alt 'P 1'
_space_group_IT_number 1
_cell_length_a 9.885
_cell_length_b 10.517
_cell_length_c 10.655
_cell_angle_alpha 91.42
_cell_angle_beta 90.73
_cell_angle_gamma 93.58
loop_
_space_group_symop_operation_xyz
'x,y,z'
loop_
_atom_site_label
_atom_site_type_symbol
_atom_site_fract_x
_atom_site_fract_y
_atom_site_fract_z
Al1 Al 0.000 0.000 0.000
Al2 Al 0.001 0.152 0.295
Al3 Al 0.063 0.218 0.893
Al4 Al 0.092 0.130 0.598
Al5 Al 0.111 0.908 0.454
Al6 Al 0.126 0.720 0.019
Al7 Al 0.162 0.665 0.759
Al8 Al 0.178 0.471 0.032
Al9 Al 0.214 0.432 0.581
Al10 Al 0.246 0.206 0.095
Al11 Al 0.247 0.410 0.297
Al12 Al 0.304 0.175 0.436
Al13 Al 0.309 0.686 0.461
Al14 Al 0.326 0.241 0.730
Al15 Al 0.343 0.905 0.651
Al16 Al 0.383 0.783 0.887
Al17 Al 0.432 0.886 0.367
Al18 Al 0.442 0.601 0.096
Al19 Al 0.471 0.516 0.774
Al20 Al 0.483 0.300 0.987
Al21 Al 0.498 0.072 0.210
Al22 Al 0.519 0.411 0.315
Al23 Al 0.558 0.074 0.867
Al24 Al 0.580 0.234 0.619
Al25 Al 0.618 0.795 0.602
Al26 Al 0.634 0.843 0.089
Al27 Al 0.647 0.513 0.584
Al28 Al 0.654 0.675 0.326
Al29 Al 0.703 0.574 0.011
Al30 Al 0.744 0.194 0.346
Al31 Al 0.757 0.130 0.058
Al32 Al 0.796 0.426 0.395
Al33 Al 0.826 0.203 0.762
Al34 Al 0.839 0.750 0.841
Al35 Al 0.844 0.895 0.403
Al36 Al 0.902 0.934 0.696
Al37 Al 0.922 0.456 0.920
Al38 Al 0.924 0.530 0.690
Al39 Al 0.934 0.796 0.185
Al40 Al 0.944 0.510 0.193
O1 O 0.045 0.353 0.984
O2 O 0.056 0.870 0.081
O3 O 0.080 0.570 0.914
O4 O 0.100 0.520 0.661
O5 O 0.114 0.462 0.199
O6 O 0.118 0.079 0.415
O7 O 0.147 0.109 0.988
O8 O 0.153 0.201 0.753
O9 O 0.173 0.233 0.243
O10 O 0.173 0.274 0.528
O11 O 0.202 0.992 0.608
O12 O 0.203 0.796 0.884
O13 O 0.247 0.522 0.441
O14 O 0.255 0.831 0.395
O15 O 0.263 0.742 0.621
O16 O 0.267 0.626 0.070
O17 O 0.300 0.348 0.008
O18 O 0.334 0.408 0.704
O19 O 0.353 0.630 0.813
O20 O 0.382 0.321 0.381
O21 O 0.399 0.474 0.211
O22 O 0.406 0.061 0.355
O23 O 0.407 0.177 0.594
O24 O 0.418 0.172 0.107
O25 O 0.430 0.195 0.852
O26 O 0.439 0.926 0.801
O27 O 0.466 0.714 0.371
O28 O 0.487 0.895 0.548
O29 O 0.490 0.752 0.012
O30 O 0.508 0.904 0.210
O31 O 0.532 0.486 0.952
O32 O 0.567 0.638 0.661
O33 O 0.584 0.396 0.687
O34 O 0.606 0.525 0.422
O35 O 0.614 0.612 0.164
O36 O 0.645 0.230 0.974
O37 O 0.650 0.989 0.990
O38 O 0.658 0.136 0.732
O39 O 0.670 0.119 0.209
O40 O 0.670 0.344 0.282
O41 O 0.691 0.252 0.496
O42 O 0.712 0.783 0.460
O43 O 0.743 0.842 0.719
O44 O 0.756 0.746 0.993
O45 O 0.760 0.822 0.228
O46 O 0.800 0.568 0.845
O47 O 0.820 0.496 0.557
O48 O 0.827 0.464 0.062
O49 O 0.845 0.567 0.315
O50 O 0.849 0.062 0.379
O51 O 0.890 0.148 0.909
O52 O 0.898 0.363 0.771
O53 O 0.908 0.298 0.336
O54 O 0.922 0.087 0.134
O55 O 0.924 0.105 0.662
O56 O 0.941 0.910 0.859
O57 O 0.957 0.893 0.547
O58 O 0.973 0.699 0.733
O59 O 0.996 0.656 0.125
O60 O 0.996 0.845 0.332
# - Calculated density: 3.06 Mg/m³
# - Final energy: -7.269 eV per atom
# - Energy of formation from the pure elements: -3.2139 eV per atom

# 5
# NaAc3, relaxed, DFT PBE-GGA
data_NaAc3
_space_group_name_H-M_alt 'F m -3 m'
_space_group_IT_number 225
_space_group_name_Hall '-F 4 2 3'
_cell_length_a 8.897
_cell_length_b 8.897
_cell_length_c 8.897
_cell_angle_alpha 90.00
_cell_angle_beta 90.00
_cell_angle_gamma 90.00
loop_
_atom_site_label
_atom_site_type_symbol
_atom_site_fract_x
_atom_site_fract_y
_atom_site_fract_z
Na1 Na 0.000 0.000 0.000
Ac1 Ac 0.000 0.000 0.500
Ac2 Ac 0.250 0.250 0.250
# - Calculated density: 6.64 Mg/m³
# - Final energy: -3.214 eV per atom
# - Energy of formation from the pure elements: 0.2077 eV per atom
# - Offset from the most stable computed form: 3 meV/atom

# 6
# OsC4O4, relaxed, DFT PBE-GGA
data_OsC4O4
_space_group_name_H-M_alt 'P 1 21/c 1'
_space_group_IT_number 14
_cell_length_a 13.132
_cell_length_b 9.458
_cell_length_c 17.774
_cell_angle_alpha 90.00
_cell_angle_beta 96.30
_cell_angle_gamma 90.00
loop_
_space_group_symop_operation_xyz
'x,y,z'
'-x,-y,-z'
'-x,y+1/2,-z+1/2'
'x,-y+1/2,z+1/2'
loop_
_atom_site_label
_atom_site_type_symbol
_atom_site_fract_x
_atom_site_fract_y
_atom_site_fract_z
Os1 Os 0.188 0.245 0.219
Os2 Os 0.257 0.504 0.650
Os3 Os 0.275 0.125 0.596
C1 C 0.065 0.227 0.147
C2 C 0.129 0.591 0.645
C3 C 0.138 0.127 0.295
C4 C 0.153 0.068 0.750
C5 C 0.161 0.014 0.563
C6 C 0.190 0.103 0.945
C7 C 0.313 0.638 0.585
C8 C 0.326 0.242 0.771
C9 C 0.332 0.575 0.737
C10 C 0.344 0.087 0.509
C11 C 0.360 0.009 0.660
C12 C 0.488 0.628 0.401
O1 O 0.010 0.719 0.395
O2 O 0.053 0.654 0.648
O3 O 0.097 0.570 0.047
O4 O 0.109 0.055 0.342
O5 O 0.133 0.546 0.268
O6 O 0.202 0.137 0.008
O7 O 0.348 0.715 0.543
O8 O 0.370 0.629 0.792
O9 O 0.386 0.069 0.455
O10 O 0.404 0.577 0.199
O11 O 0.406 0.229 0.806
O12 O 0.430 0.150 0.113
# - Calculated density: 2.74 Mg/m³
# - Final energy: -7.994 eV per atom
# - Energy of formation from the pure elements: -0.7511 eV per atom
# - Offset from the most stable computed form: 214 meV/atom

Q: final energy of number 4 (Al2O3)?
A: -7.269 eV per atom